[1]
{
  "formula": "NbNi3",
  "functional": "PBE",
  "state": "optimized geometry",
  "delta_e_f_ev_per_atom": -0.130,
  "vol_a3_per_cell": 50.5,
  "total_magnetization_mub_per_atom": 0.158,
  "lattice_angstrom": [[3.6955, 0.0000, 0.0000], [0.0000, 3.6955, 0.0000], [0.0000, 0.0000, 3.6955]],
  "species": ["Nb", "Ni", "Ni", "Ni"],
  "fractional_positions": [[0.0000, 0.0000, 0.0000], [0.0000, 0.5000, 0.5000], [0.5000, 0.0000, 0.5000], [0.5000, 0.5000, 0.0000]]
}



[2]
{
  "formula": "NbNi3",
  "functional": "PBE",
  "state": "optimized geometry",
  "delta_e_f_ev_per_atom": 0.132,
  "vol_a3_per_cell": 52.2,
  "total_magnetization_mub_per_atom": 0.263,
  "lattice_angstrom": [[2.6929, 0.0000, 0.0000], [-1.3465, 2.3322, 0.0000], [0.0000, 0.0000, 8.3058]],
  "species": ["Nb", "Ni", "Ni", "Ni"],
  "fractional_positions": [[0.0000, 0.0000, 0.0000], [0.0000, 0.0000, 0.5000], [0.3333, 0.6667, 0.2641], [0.3333, 0.6667, 0.7359]]
}



[3]
{
  "formula": "NbNi2",
  "functional": "PBE",
  "state": "optimized geometry",
  "delta_e_f_ev_per_atom": -0.191,
  "vol_a3_per_cell": 154.8,
  "total_magnetization_mub_per_atom": 0.001,
  "lattice_angstrom": [[4.7920, 0.0000, 0.0000], [-2.3960, 4.1500, 0.0000], [0.0000, 0.0000, 7.7864]],
  "species": ["Nb", "Nb", "Nb", "Nb", "Ni", "Ni", "Ni", "Ni", "Ni", "Ni", "Ni", "Ni"],
  "fractional_positions": [[0.3333, 0.6667, 0.0552], [0.3333, 0.6667, 0.4448], [0.6667, 0.3333, 0.5552], [0.6667, 0.3333, 0.9448], [0.0000, 0.0000, 0.0000], [0.0000, 0.0000, 0.5000], [0.1689, 0.3378, 0.7500], [0.1689, 0.8311, 0.7500], [0.3378, 0.1689, 0.2500], [0.6622, 0.8311, 0.7500], [0.8311, 0.1689, 0.2500], [0.8311, 0.6622, 0.2500]]
}



[4]
{
  "formula": "NbNi3",
  "functional": "PBE",
  "state": "optimized geometry",
  "delta_e_f_ev_per_atom": -0.121,
  "vol_a3_per_cell": 50.3,
  "total_magnetization_mub_per_atom": 0.093,
  "lattice_angstrom": [[0.0000, 2.9294, 2.9294], [2.9294, 0.0000, 2.9294], [2.9294, 2.9294, 0.0000]],
  "species": ["Nb", "Ni", "Ni", "Ni"],
  "fractional_positions": [[0.0000, 0.0000, 0.0000], [0.2500, 0.2500, 0.2500], [0.5000, 0.5000, 0.5000], [0.7500, 0.7500, 0.7500]]
}



[5]
{
  "formula": "NbNi3",
  "functional": "PBE",
  "state": "optimized geometry",
  "delta_e_f_ev_per_atom": -0.284,
  "vol_a3_per_cell": 49.7,
  "lattice_angstrom": [[-1.8185, 1.8185, 3.7585], [1.8185, -1.8185, 3.7585], [1.8185, 1.8185, -3.7585]],
  "species": ["Nb", "Ni", "Ni", "Ni"],
  "fractional_positions": [[0.0000, 0.0000, 0.0000], [0.2500, 0.7500, 0.5000], [0.5000, 0.5000, 0.0000], [0.7500, 0.2500, 0.5000]]
}



[6]
{
  "formula": "NbNi3",
  "functional": "PBE",
  "state": "optimized geometry",
  "delta_e_f_ev_per_atom": -0.293,
  "vol_a3_per_cell": 99.8,
  "lattice_angstrom": [[4.2597, 0.0000, 0.0000], [0.0000, 5.1119, 0.0000], [0.0000, 0.0000, 4.5837]],
  "species": ["Nb", "Nb", "Ni", "Ni", "Ni", "Ni", "Ni", "Ni"],
  "fractional_positions": [[0.2500, 0.2500, 0.1503], [0.7500, 0.7500, 0.8497], [0.2500, 0.0009, 0.6591], [0.2500, 0.4991, 0.6591], [0.2500, 0.7500, 0.1815], [0.7500, 0.2500, 0.8185], [0.7500, 0.5009, 0.3409], [0.7500, 0.9991, 0.3409]]
}



[7]
{
  "formula": "NbNi2",
  "functional": "PBE",
  "state": "optimized geometry",
  "delta_e_f_ev_per_atom": -0.187,
  "vol_a3_per_cell": 312.0,
  "total_magnetization_mub_per_atom": 0.002,
  "lattice_angstrom": [[4.7957, 0.0000, 0.0000], [-2.3978, 4.1532, 0.0000], [0.0000, 0.0000, 15.6664]],
  "species": ["Nb", "Nb", "Nb", "Nb", "Nb", "Nb", "Nb", "Nb", "Ni", "Ni", "Ni", "Ni", "Ni", "Ni", "Ni", "Ni", "Ni", "Ni", "Ni", "Ni", "Ni", "Ni", "Ni", "Ni"],
  "fractional_positions": [[0.0000, 0.0000, 0.0975], [0.0000, 0.0000, 0.4025], [0.0000, 0.0000, 0.5975], [0.0000, 0.0000, 0.9025], [0.3333, 0.6667, 0.1541], [0.3333, 0.6667, 0.3459], [0.6667, 0.3333, 0.6541], [0.6667, 0.3333, 0.8459], [0.0000, 0.5000, 0.0000], [0.0000, 0.5000, 0.5000], [0.1644, 0.3288, 0.7500], [0.1644, 0.8356, 0.7500], [0.3288, 0.1644, 0.2500], [0.3333, 0.6667, 0.6241], [0.3333, 0.6667, 0.8759], [0.5000, 0.0000, 0.0000], [0.5000, 0.0000, 0.5000], [0.5000, 0.5000, 0.0000], [0.5000, 0.5000, 0.5000], [0.6667, 0.3333, 0.1241], [0.6667, 0.3333, 0.3759], [0.6712, 0.8356, 0.7500], [0.8356, 0.1644, 0.2500], [0.8356, 0.6712, 0.2500]]
}



[8]
{
  "formula": "NbNi4P16",
  "functional": "PBE",
  "state": "optimized geometry",
  "delta_e_f_ev_per_atom": -0.316,
  "vol_a3_per_cell": 624.3,
  "total_magnetization_mub_per_atom": 0.000,
  "lattice_angstrom": [[9.8835, -2.8626, 0.0000], [9.8835, 2.8626, 0.0000], [-2.0770, 0.0000, 11.0329]],
  "species": ["Nb", "Nb", "Ni", "Ni", "Ni", "Ni", "Ni", "Ni", "Ni", "Ni", "P", "P", "P", "P", "P", "P", "P", "P", "P", "P", "P", "P", "P", "P", "P", "P", "P", "P", "P", "P", "P", "P", "P", "P", "P", "P", "P", "P", "P", "P", "P", "P"],
  "fractional_positions": [[0.1059, 0.8941, 0.7500], [0.8941, 0.1059, 0.2500], [0.1943, 0.3043, 0.1291], [0.2979, 0.4875, 0.4265], [0.3043, 0.1943, 0.6291], [0.4875, 0.2979, 0.9265], [0.5125, 0.7021, 0.0735], [0.6957, 0.8057, 0.3709], [0.7021, 0.5125, 0.5735], [0.8057, 0.6957, 0.8709], [0.0592, 0.3860, 0.3132], [0.1050, 0.1790, 0.5416], [0.1206, 0.1259, 0.8390], [0.1259, 0.1206, 0.3390], [0.1587, 0.7144, 0.9206], [0.1790, 0.1050, 0.0416], [0.2214, 0.3535, 0.9466], [0.2280, 0.4881, 0.2194], [0.2396, 0.7525, 0.3951], [0.2475, 0.7604, 0.1049], [0.2856, 0.8413, 0.5794], [0.3535, 0.2214, 0.4466], [0.3860, 0.0592, 0.8132], [0.3881, 0.4858, 0.6313], [0.4858, 0.3881, 0.1313], [0.4881, 0.2280, 0.7194], [0.5119, 0.7720, 0.2806], [0.5142, 0.6119, 0.8687], [0.6119, 0.5142, 0.3687], [0.6140, 0.9408, 0.1868], [0.6465, 0.7786, 0.5534], [0.7144, 0.1587, 0.4206], [0.7525, 0.2396, 0.8951], [0.7604, 0.2475, 0.6049], [0.7720, 0.5119, 0.7806], [0.7786, 0.6465, 0.0534], [0.8210, 0.8950, 0.9584], [0.8413, 0.2856, 0.0794], [0.8741, 0.8794, 0.6610], [0.8794, 0.8741, 0.1610], [0.8950, 0.8210, 0.4584], [0.9408, 0.6140, 0.6868]]
}



[9]
{
  "formula": "Nb4NiP",
  "functional": "PBE",
  "state": "optimized geometry",
  "delta_e_f_ev_per_atom": -0.439,
  "vol_a3_per_cell": 189.7,
  "total_magnetization_mub_per_atom": 0.002,
  "lattice_angstrom": [[6.1643, 0.0000, 0.0000], [0.0000, 6.1643, 0.0000], [0.0000, 0.0000, 4.9912]],
  "species": ["Nb", "Nb", "Nb", "Nb", "Nb", "Nb", "Nb", "Nb", "Ni", "Ni", "P", "P"],
  "fractional_positions": [[0.1604, 0.3357, 0.0000], [0.1604, 0.6643, 0.5000], [0.3357, 0.1604, 0.5000], [0.3357, 0.8396, 0.0000], [0.6643, 0.1604, 0.0000], [0.6643, 0.8396, 0.5000], [0.8396, 0.3357, 0.5000], [0.8396, 0.6643, 0.0000], [0.5000, 0.5000, 0.2500], [0.5000, 0.5000, 0.7500], [0.0000, 0.0000, 0.2500], [0.0000, 0.0000, 0.7500]]
}



[10]
{
  "formula": "NbNi3P2",
  "functional": "PBE",
  "state": "optimized geometry",
  "delta_e_f_ev_per_atom": -0.645,
  "vol_a3_per_cell": 221.3,
  "total_magnetization_mub_per_atom": 0.000,
  "lattice_angstrom": [[5.9193, 0.0000, 0.0000], [0.0000, 3.5895, 0.0000], [-0.0857, 0.0000, 10.4168]],
  "species": ["Nb", "Nb", "Nb", "Ni", "Ni", "Ni", "Ni", "Ni", "Ni", "Ni", "Ni", "Ni", "P", "P", "P", "P", "P", "P"],
  "fractional_positions": [[0.0000, 0.0000, 0.0000], [0.0021, 0.0000, 0.5882], [0.5010, 0.0000, 0.4949], [0.1068, 0.0000, 0.2897], [0.3382, 0.5000, 0.6756], [0.3408, 0.5000, 0.9234], [0.4500, 0.5000, 0.2885], [0.5070, 0.0000, 0.0918], [0.6102, 0.0000, 0.7967], [0.8264, 0.5000, 0.1673], [0.8324, 0.5000, 0.4102], [0.9509, 0.5000, 0.7944], [0.2009, 0.5000, 0.4509], [0.2129, 0.5000, 0.1299], [0.2191, 0.0000, 0.7963], [0.6999, 0.5000, 0.9587], [0.7029, 0.5000, 0.6313], [0.7116, 0.0000, 0.2862]]
}



[11]
{
  "formula": "NbNiP",
  "functional": "PBE",
  "state": "optimized geometry",
  "delta_e_f_ev_per_atom": -0.839,
  "vol_a3_per_cell": 156.9,
  "lattice_angstrom": [[6.1330, 0.0000, 0.0000], [0.0000, 3.5942, 0.0000], [0.0000, 0.0000, 7.1176]],
  "species": ["Nb", "Nb", "Nb", "Nb", "Ni", "Ni", "Ni", "Ni", "P", "P", "P", "P"],
  "fractional_positions": [[0.0224, 0.2500, 0.1668], [0.4776, 0.7500, 0.6668], [0.5224, 0.2500, 0.3332], [0.9776, 0.7500, 0.8332], [0.1493, 0.2500, 0.5670], [0.3507, 0.7500, 0.0670], [0.6493, 0.2500, 0.9330], [0.8507, 0.7500, 0.4330], [0.2180, 0.7500, 0.3776], [0.2820, 0.2500, 0.8776], [0.7180, 0.7500, 0.1224], [0.7820, 0.2500, 0.6224]]
}



[12]
{
  "formula": "Nb5Ni4P4",
  "functional": "PBE",
  "state": "optimized geometry",
  "delta_e_f_ev_per_atom": -0.849,
  "vol_a3_per_cell": 176.5,
  "lattice_angstrom": [[-4.9976, 4.9976, 1.7669], [4.9976, -4.9976, 1.7669], [4.9976, 4.9976, -1.7669]],
  "species": ["Nb", "Nb", "Nb", "Nb", "Nb", "Ni", "Ni", "Ni", "Ni", "P", "P", "P", "P"],
  "fractional_positions": [[0.0000, 0.0000, 0.0000], [0.3053, 0.3691, 0.6744], [0.3691, 0.6947, 0.0638], [0.6309, 0.3053, 0.9362], [0.6947, 0.6309, 0.3256], [0.1098, 0.5851, 0.6949], [0.4149, 0.1098, 0.5247], [0.5851, 0.8902, 0.4753], [0.8902, 0.4149, 0.3051], [0.0556, 0.2597, 0.3153], [0.2597, 0.9444, 0.2042], [0.7403, 0.0556, 0.7958], [0.9444, 0.7403, 0.6847]]
}